DFT (GGA+U) results for a relaxed structure of Eu2NiO4.

Unit cell a=6.6847 b=6.6847 c=6.6847 alpha=147.02 beta=147.02 gamma=47.34
Fractional positions:
Eu 0.1427 0.1427 0.0000
Eu 0.8573 0.8573 0.0000
Ni 0.5000 0.5000 0.0000
O 0.0000 0.5000 0.5000
O 0.3247 0.3247 0.0000
O 0.5000 0.0000 0.5000
O 0.6753 0.6753 0.0000


DFT (GGA+U) results for a relaxed structure of Na2FeBAsO7.

Unit cell a=5.3987 b=6.8608 c=9.1847 alpha=90.00 beta=92.21 gamma=90.00
Fractional positions:
Na 0.2361 0.0034 0.2796
Na 0.2361 0.4966 0.2796
Na 0.7639 0.5034 0.7204
Na 0.7639 0.9966 0.7204
Fe 0.2178 0.7500 0.8441
Fe 0.7822 0.2500 0.1559
B 0.2742 0.7500 0.5792
B 0.7258 0.2500 0.4208
As 0.2761 0.2500 0.9257
As 0.7239 0.7500 0.0743
O 0.0441 0.7500 0.6399
O 0.1291 0.2500 0.0890
O 0.2013 0.0492 0.8228
O 0.2013 0.4508 0.8228
O 0.3036 0.7500 0.4352
O 0.4062 0.7500 0.0323
O 0.4650 0.7500 0.6849
O 0.5350 0.2500 0.3151
O 0.5938 0.2500 0.9677
O 0.6964 0.2500 0.5648
O 0.7987 0.5492 0.1772
O 0.7987 0.9508 0.1772
O 0.8709 0.7500 0.9110
O 0.9559 0.2500 0.3601


DFT (GGA+U) results for a relaxed structure of Fe9Si6O25.

Unit cell a=9.5401 b=18.9459 c=10.8058 alpha=90.00 beta=106.66 gamma=90.00
Fractional positions:
Fe 0.0148 0.2002 0.3281
Fe 0.0148 0.2998 0.8281
Fe 0.0818 0.5704 0.0200
Fe 0.0818 0.9296 0.5200
Fe 0.1292 0.1789 0.6809
Fe 0.1292 0.3211 0.1809
Fe 0.1694 0.6812 0.8044
Fe 0.1694 0.8188 0.3044
Fe 0.2276 0.0700 0.4543
Fe 0.2276 0.4300 0.9543
Fe 0.3019 0.6942 0.1651
Fe 0.3019 0.8058 0.6651
Fe 0.3656 0.1902 0.3302
Fe 0.3656 0.3098 0.8302
Fe 0.4296 0.5746 0.0479
Fe 0.4296 0.9254 0.5479
Fe 0.4773 0.1797 0.6839
Fe 0.4773 0.3203 0.1839
Fe 0.5227 0.6797 0.8161
Fe 0.5227 0.8203 0.3161
Fe 0.5704 0.0746 0.4521
Fe 0.5704 0.4254 0.9521
Fe 0.6344 0.6902 0.1698
Fe 0.6344 0.8098 0.6698
Fe 0.6981 0.1942 0.3349
Fe 0.6981 0.3058 0.8349
Fe 0.7724 0.5700 0.0457
Fe 0.7724 0.9300 0.5457
Fe 0.8306 0.1812 0.6956
Fe 0.8306 0.3188 0.1956
Fe 0.8708 0.6789 0.8191
Fe 0.8708 0.8211 0.3191
Fe 0.9182 0.0704 0.4800
Fe 0.9182 0.4296 0.9800
Fe 0.9852 0.7002 0.1719
Fe 0.9852 0.7998 0.6719
Si 0.1222 0.0812 0.1346
Si 0.1222 0.4188 0.6346
Si 0.1971 0.5805 0.3619
Si 0.1971 0.9195 0.8619
Si 0.2680 0.1927 0.0190
Si 0.2680 0.3073 0.5190
Si 0.3415 0.5355 0.7448
Si 0.3415 0.9645 0.2448
Si 0.3461 0.0357 0.7560
Si 0.3461 0.4643 0.2560
Si 0.4228 0.6915 0.4816
Si 0.4228 0.8085 0.9816
Si 0.5772 0.1915 0.0184
Si 0.5772 0.3085 0.5184
Si 0.6539 0.5357 0.7440
Si 0.6539 0.9643 0.2440
Si 0.6585 0.0355 0.7552
Si 0.6585 0.4645 0.2552
Si 0.7320 0.6927 0.4810
Si 0.7320 0.8073 0.9810
Si 0.8029 0.0805 0.1381
Si 0.8029 0.4195 0.6381
Si 0.8778 0.5812 0.3654
Si 0.8778 0.9188 0.8654
O 0.0088 0.6182 0.7791
O 0.0088 0.8818 0.2791
O 0.0223 0.7461 0.3370
O 0.0223 0.7539 0.8370
O 0.0513 0.5683 0.4046
O 0.0513 0.9317 0.9046
O 0.0542 0.0114 0.4047
O 0.0542 0.4886 0.9047
O 0.0845 0.1413 0.4953
O 0.0845 0.3587 0.9953
O 0.1374 0.7416 0.6394
O 0.1374 0.7584 0.1394
O 0.1561 0.1292 0.0226
O 0.1561 0.3708 0.5226
O 0.1583 0.6223 0.2207
O 0.1583 0.8777 0.7207
O 0.1795 0.1241 0.2754
O 0.1795 0.3759 0.7754
O 0.2027 0.0048 0.1510
O 0.2027 0.4952 0.6510
O 0.2130 0.2413 0.8866
O 0.2130 0.2587 0.3866
O 0.2464 0.6358 0.9996
O 0.2464 0.8642 0.4996
O 0.2688 0.5040 0.3514
O 0.2688 0.9960 0.8514
O 0.2934 0.5012 0.1092
O 0.2934 0.9988 0.6092
O 0.2954 0.2416 0.1524
O 0.2954 0.2584 0.6524
O 0.3069 0.6284 0.4734
O 0.3069 0.8716 0.9734
O 0.3129 0.1198 0.7362
O 0.3129 0.3802 0.2362
O 0.3248 0.6195 0.7652
O 0.3248 0.8805 0.2652
O 0.3668 0.7437 0.3555
O 0.3668 0.7563 0.8555
O 0.3815 0.0008 0.3930
O 0.3815 0.4992 0.8930
O 0.4109 0.1336 0.4972
O 0.4109 0.3664 0.9972
O 0.4220 0.1569 0.0173
O 0.4220 0.3431 0.5173
O 0.4544 0.7364 0.6188
O 0.4544 0.7636 0.1188
O 0.4789 0.5221 0.6873
O 0.4789 0.9779 0.1873
O 0.4833 0.6317 0.2058
O 0.4833 0.8683 0.7058
O 0.5167 0.1317 0.2942
O 0.5167 0.3683 0.7942
O 0.5211 0.0221 0.8127
O 0.5211 0.4779 0.3127
O 0.5456 0.2364 0.8812
O 0.5456 0.2636 0.3812
O 0.5780 0.6569 0.4827
O 0.5780 0.8431 0.9827
O 0.5891 0.6336 0.0028
O 0.5891 0.8664 0.5028
O 0.6185 0.5008 0.1070
O 0.6185 0.9992 0.6070
O 0.6332 0.2437 0.1445
O 0.6332 0.2563 0.6445
O 0.6752 0.1195 0.7348
O 0.6752 0.3805 0.2348
O 0.6871 0.6198 0.7638
O 0.6871 0.8802 0.2638
O 0.6931 0.1284 0.0266
O 0.6931 0.3716 0.5266
O 0.7046 0.7416 0.3476
O 0.7046 0.7584 0.8476
O 0.7066 0.0012 0.3908
O 0.7066 0.4988 0.8908
O 0.7312 0.0040 0.1486
O 0.7312 0.4960 0.6486
O 0.7536 0.1358 0.5004
O 0.7536 0.3642 0.0004
O 0.7870 0.7413 0.6134
O 0.7870 0.7587 0.1134
O 0.7973 0.5048 0.3490
O 0.7973 0.9952 0.8490
O 0.8205 0.6241 0.2246
O 0.8205 0.8759 0.7246
O 0.8417 0.1223 0.2793
O 0.8417 0.3777 0.7793
O 0.8439 0.6292 0.4774
O 0.8439 0.8708 0.9774
O 0.8626 0.2416 0.8606
O 0.8626 0.2584 0.3606
O 0.9155 0.6413 0.0047
O 0.9155 0.8587 0.5047
O 0.9458 0.5114 0.0953
O 0.9458 0.9886 0.5953
O 0.9487 0.0683 0.0954
O 0.9487 0.4317 0.5954
O 0.9777 0.2461 0.1630
O 0.9777 0.2539 0.6630
O 0.9912 0.1182 0.7209
O 0.9912 0.3818 0.2209


DFT (GGA+U) results for a relaxed structure of Mn2C3O9.

Unit cell a=7.5219 b=7.5871 c=7.6622 alpha=119.14 beta=93.41 gamma=91.72
Fractional positions:
Mn 0.0437 0.1680 0.3363
Mn 0.4565 0.1623 0.3265
Mn 0.5435 0.8377 0.6735
Mn 0.9563 0.8320 0.6637
C 0.2425 0.5635 0.6547
C 0.2536 0.0956 0.9391
C 0.2536 0.8494 0.4094
C 0.7464 0.1506 0.5906
C 0.7464 0.9044 0.0609
C 0.7575 0.4365 0.3453
O 0.0946 0.0775 0.8523
O 0.0996 0.6470 0.7261
O 0.1054 0.7785 0.4268
O 0.2378 0.3756 0.5089
O 0.2542 0.9952 0.3618
O 0.2571 0.1405 0.1285
O 0.3951 0.0806 0.8540
O 0.3997 0.6515 0.7265
O 0.4058 0.7816 0.4260
O 0.5942 0.2184 0.5740
O 0.6003 0.3485 0.2735
O 0.6049 0.9194 0.1460
O 0.7429 0.8595 0.8715
O 0.7458 0.0048 0.6382
O 0.7622 0.6244 0.4911
O 0.8946 0.2215 0.5732
O 0.9004 0.3530 0.2739
O 0.9054 0.9225 0.1477


| no. | calculated density (g cm⁻³) | formation energy (meV per atom) | corrected total energy (MP2020 scheme) (eV for the cell shown) |
| --- | --- | --- | --- |
| 1 | 8.034 | -2533 | -63.82 |
| 2 | 2.926 | -1996 | -162.09 |
| 3 | 3.802 | -2305 | -1298.73 |
| 4 | 2.531 | -1814 | -231.87 |